<P>
DFT (PBE-GGA) results for crystalline YMg14Ga at its relaxed geometry.

a = 6.4783 Å, b = 6.2637 Å, c = 10.3781 Å
α = 90.00°, β = 90.00°, γ = 118.91°
Fractional positions:
Y  0.1518  0.3259  0.1250
Mg  0.1665  0.3333  0.6250
Mg  0.1615  0.8307  0.6250
Mg  0.6497  0.3185  0.1250
Mg  0.6654  0.3367  0.6250
Mg  0.6497  0.8312  0.1250
Mg  0.6654  0.8287  0.6250
Mg  0.3369  0.1664  0.3794
Mg  0.3369  0.1664  0.8706
Mg  0.3369  0.6705  0.3794
Mg  0.3369  0.6705  0.8706
Mg  0.8329  0.1664  0.3842
Mg  0.8329  0.1664  0.8658
Mg  0.8441  0.6721  0.3621
Mg  0.8441  0.6721  0.8879
Ga  0.1887  0.8443  0.1250

The space group is Amm2, No. 38. The calculation puts the mass density at 2.247 Mg/m³.



<Q>
DFT (PBE-GGA) results for crystalline YMg14Ga at its relaxed geometry.

a = 6.4288 Å, b = 6.4288 Å, c = 10.3661 Å
α = 90.00°, β = 90.00°, γ = 120.00°
Fractional positions:
Y  0.1667  0.3333  0.1250
Mg  0.1795  0.8397  0.1250
Mg  0.1619  0.8310  0.6250
Mg  0.6603  0.3205  0.1250
Mg  0.6690  0.3381  0.6250
Mg  0.6603  0.8397  0.1250
Mg  0.6690  0.8310  0.6250
Mg  0.3318  0.1682  0.3839
Mg  0.3318  0.1682  0.8661
Mg  0.3318  0.6636  0.3839
Mg  0.3318  0.6636  0.8661
Mg  0.8364  0.1682  0.3839
Mg  0.8364  0.1682  0.8661
Mg  0.8333  0.6667  0.3658
Mg  0.8333  0.6667  0.8842
Ga  0.1667  0.3333  0.6250

The space group is P-6m2, No. 187. The calculation puts the mass density at 2.233 Mg/m³.



Q: Which of them is the most stable? A: <P>.



<P>
DFT (PBE-GGA) results for crystalline MnGaN2 at its relaxed geometry.

a = 5.2895 Å, b = 10.8350 Å, c = 13.1286 Å
α = 90.00°, β = 90.00°, γ = 90.00°
Fractional positions:
Mn  0.6508  0.9538  0.4402
Mn  0.1508  0.5462  0.5598
Mn  0.3492  0.4538  0.0598
Mn  0.8492  0.0462  0.9402
Mn  0.3492  0.0462  0.5598
Mn  0.8492  0.4538  0.4402
Mn  0.6508  0.5462  0.9402
Mn  0.1508  0.9538  0.0598
Mn  0.8110  0.2996  0.3069
Mn  0.3110  0.2004  0.6931
Mn  0.1890  0.7996  0.1931
Mn  0.6890  0.7004  0.8069
Mn  0.1890  0.7004  0.6931
Mn  0.6890  0.7996  0.3069
Mn  0.8110  0.2004  0.8069
Mn  0.3110  0.2996  0.1931
Ga  0.6224  0.0439  0.1847
Ga  0.1224  0.4561  0.8153
Ga  0.3776  0.5439  0.3153
Ga  0.8776  0.9561  0.6847
Ga  0.3776  0.9561  0.8153
Ga  0.8776  0.5439  0.1847
Ga  0.6224  0.4561  0.6847
Ga  0.1224  0.0439  0.3153
Ga  0.8131  0.2927  0.0633
Ga  0.3131  0.2073  0.9367
Ga  0.1869  0.7927  0.4367
Ga  0.6869  0.7073  0.5633
Ga  0.1869  0.7073  0.9367
Ga  0.6869  0.7927  0.0633
Ga  0.8131  0.2073  0.5633
Ga  0.3131  0.2927  0.4367
N  0.7201  0.4763  0.3072
N  0.2201  0.0237  0.6928
N  0.2799  0.9763  0.1928
N  0.7799  0.5237  0.8072
N  0.2799  0.5237  0.6928
N  0.7799  0.9763  0.3072
N  0.7201  0.0237  0.8072
N  0.2201  0.4763  0.1928
N  0.6833  0.2943  0.4446
N  0.1833  0.2057  0.5554
N  0.3167  0.7943  0.0554
N  0.8167  0.7057  0.9446
N  0.3167  0.7057  0.5554
N  0.8167  0.7943  0.4446
N  0.6833  0.2057  0.9446
N  0.1833  0.2943  0.0554
N  0.7069  0.4688  0.0678
N  0.2069  0.0312  0.9322
N  0.2931  0.9688  0.4322
N  0.7931  0.5312  0.5678
N  0.2931  0.5312  0.9322
N  0.7931  0.9688  0.0678
N  0.7069  0.0312  0.5678
N  0.2069  0.4688  0.4322
N  0.6474  0.2225  0.1846
N  0.1474  0.2775  0.8154
N  0.3526  0.7225  0.3154
N  0.8526  0.7775  0.6846
N  0.3526  0.7775  0.8154
N  0.8526  0.7225  0.1846
N  0.6474  0.2775  0.6846
N  0.1474  0.2225  0.3154

The space group is Pbca, No. 61. The calculation puts the mass density at 5.391 Mg/m³.



<Q>
DFT (PBE-GGA) results for crystalline MnGaN2 at its relaxed geometry.

a = 2.9190 Å, b = 5.2764 Å, c = 5.5599 Å
α = 90.00°, β = 90.00°, γ = 90.00°
Fractional positions:
Mn  0.0000  0.5000  0.5000
Mn  0.0000  0.0000  0.5000
Ga  0.0000  0.2500  0.0914
Ga  0.0000  0.7500  0.9086
N  0.0000  0.2500  0.7601
N  0.0000  0.7500  0.2399
N  0.5000  0.2500  0.3347
N  0.5000  0.7500  0.6653

The space group is Pmma, No. 51. The calculation puts the mass density at 5.921 Mg/m³.



Q: Which of them is the most stable? A: <P>.